1.
## SrCa2Te3O9 (PBE)

Data for an optimized crystal structure of SrCa2Te3O9.

Computed properties:
- M_tot (Bohr magnetons per cell) = 0.000
- symmetry = P2_1 (4)

Cell and atoms, written as POSCAR:
```
SrCa2Te3O9
1.0
-2.346 4.966 -1.842
-4.174 -4.346 -6.400
-10.334 -3.487 3.762
Ca Sr O Te
4 2 18 6
Direct
0.992 0.303 0.051
0.448 0.980 0.616
0.948 0.020 0.384
0.492 0.697 0.949
0.501 0.998 0.137
0.001 0.002 0.863
0.330 0.467 0.089
0.240 0.162 0.245
0.185 0.816 0.516
0.654 0.839 0.487
0.926 0.927 0.215
0.230 0.834 0.051
0.256 0.210 0.947
0.884 0.262 0.693
0.209 0.760 0.793
0.426 0.073 0.785
0.154 0.161 0.513
0.756 0.790 0.053
0.709 0.240 0.207
0.730 0.166 0.949
0.384 0.738 0.307
0.740 0.838 0.755
0.830 0.533 0.911
0.685 0.184 0.484
0.422 0.694 0.477
0.438 0.333 0.246
0.998 0.744 0.171
0.922 0.306 0.523
0.498 0.256 0.829
0.938 0.667 0.754
```

=====

2.
## TlAgP2O6 (PBE)

Data for an optimized crystal structure of TlAgP2O6.

Computed properties:
- M_tot (Bohr magnetons per cell) = 0.001
- symmetry = P2_1/c (14)

Cell and atoms, written as POSCAR:
```
TlAgP2O6
1.0
-6.251 0.000 0.623
-0.063 0.000 -7.622
0.000 -13.544 0.000
P O Tl Ag
8 24 4 4
Direct
0.846 0.494 0.827
0.689 0.348 0.633
0.311 0.152 0.133
0.846 0.994 0.673
0.689 0.848 0.867
0.311 0.652 0.367
0.154 0.006 0.327
0.154 0.506 0.173
0.466 0.901 0.850
0.143 0.046 0.208
0.320 0.354 0.171
0.143 0.546 0.292
0.534 0.599 0.350
0.534 0.099 0.150
0.262 0.165 0.378
0.210 0.133 0.033
0.932 0.432 0.146
0.738 0.335 0.878
0.680 0.646 0.829
0.320 0.854 0.329
0.790 0.867 0.967
0.680 0.146 0.671
0.857 0.954 0.792
0.738 0.835 0.622
0.932 0.932 0.354
0.790 0.367 0.533
0.262 0.665 0.122
0.210 0.633 0.467
0.068 0.568 0.854
0.068 0.068 0.646
0.857 0.454 0.708
0.466 0.401 0.650
0.299 0.732 0.669
0.701 0.768 0.169
0.299 0.232 0.831
0.701 0.268 0.331
0.815 0.196 0.028
0.815 0.696 0.472
0.185 0.804 0.972
0.185 0.304 0.528
```

=====

3.
## ZrFe2N2 (PBE)

Data for an optimized crystal structure of ZrFe2N2.

Computed properties:
- M_tot (Bohr magnetons per cell) = 0.009
- symmetry = P-3m1 (164)

Cell and atoms, written as POSCAR:
```
ZrFe2N2
1.0
3.030 0.000 0.000
-1.515 2.624 0.000
0.000 0.000 6.552
Zr Fe N
1 2 2
Direct
0.000 0.000 0.000
0.667 0.333 0.343
0.333 0.667 0.657
0.333 0.667 0.227
0.667 0.333 0.773
```

=====

4.
## Cd3Ga2Te6 (PBE)

Data for an optimized crystal structure of Cd3Ga2Te6.

Computed properties:
- M_tot (Bohr magnetons per cell) = 0.003
- symmetry = C2 (5)

Cell and atoms, written as POSCAR:
```
Cd3Ga2Te6
1.0
-2.092 -5.145 -2.952
-8.471 2.407 1.808
-1.615 6.690 -3.814
Te Cd Ga
6 3 2
Direct
0.281 0.728 0.014
0.570 0.073 0.669
0.891 0.453 0.306
0.233 0.261 0.997
0.600 0.605 0.652
0.919 0.880 0.361
0.322 0.352 0.649
0.006 0.981 0.018
0.699 0.167 0.333
0.325 0.824 0.671
0.987 0.509 0.995
```

=====

5.
## LiSiBiO4 (PBE)

Data for an optimized crystal structure of LiSiBiO4.

Computed properties:
- M_tot (Bohr magnetons per cell) = 0.001
- symmetry = P6_3 (173)
- ΔE to the lowest computed polymorph (eV/atom) = 0.039

Cell and atoms, written as POSCAR:
```
LiSiBiO4
1.0
5.058 -8.761 0.000
5.058 8.761 0.000
0.000 0.000 8.213
Si O Bi Li
8 32 8 8
Direct
0.667 0.333 0.255
0.779 0.093 0.824
0.093 0.314 0.324
0.907 0.686 0.824
0.333 0.667 0.755
0.314 0.221 0.824
0.686 0.779 0.324
0.221 0.907 0.324
0.717 0.700 0.485
0.065 0.749 0.367
0.251 0.316 0.367
0.935 0.251 0.867
0.541 0.382 0.198
0.485 0.356 0.758
0.817 0.987 0.701
0.515 0.644 0.258
0.749 0.684 0.867
0.841 0.459 0.198
0.382 0.841 0.698
0.183 0.013 0.201
0.283 0.300 0.985
0.170 0.183 0.701
0.459 0.618 0.698
0.667 0.333 0.460
0.300 0.016 0.485
0.013 0.830 0.701
0.644 0.129 0.758
0.830 0.817 0.201
0.987 0.170 0.201
0.700 0.984 0.985
0.316 0.065 0.867
0.159 0.541 0.698
0.684 0.935 0.367
0.618 0.159 0.198
0.129 0.485 0.258
0.984 0.283 0.485
0.356 0.871 0.258
0.871 0.515 0.758
0.333 0.667 0.960
0.016 0.717 0.985
0.535 0.026 0.480
0.000 0.000 0.548
0.509 0.535 0.980
0.491 0.465 0.480
0.465 0.974 0.980
0.000 0.000 0.048
0.026 0.491 0.980
0.974 0.509 0.480
0.234 0.917 0.696
0.917 0.683 0.196
0.333 0.667 0.214
0.667 0.333 0.714
0.766 0.083 0.196
0.083 0.317 0.696
0.317 0.234 0.196
0.683 0.766 0.696
```

=====

6.
## ErH3 (PBE)

Data for an optimized crystal structure of ErH3.

Computed properties:
- M_tot (Bohr magnetons per cell) = 0.000
- symmetry = Fm-3m (225)
- ΔE to the lowest computed polymorph (eV/atom) = 0.077

Cell and atoms, written as POSCAR:
```
ErH3
1.0
0.000 2.546 2.546
2.546 0.000 2.546
2.546 2.546 0.000
H Er
3 1
Direct
0.750 0.750 0.750
0.250 0.250 0.250
0.500 0.500 0.500
0.000 0.000 0.000
```

=====

7.
## K2NbAgS4 (PBE)

Data for an optimized crystal structure of K2NbAgS4.

Computed properties:
- M_tot (Bohr magnetons per cell) = 0.003
- symmetry = Fddd (70)
- ΔE to the lowest computed polymorph (eV/atom) = 0.000

Cell and atoms, written as POSCAR:
```
K2NbAgS4
1.0
0.000 6.761 11.553
2.982 0.000 11.553
2.982 6.761 0.000
Nb S Ag K
2 8 2 4
Direct
0.000 0.000 0.000
0.250 0.250 0.250
0.830 0.054 0.375
0.196 0.420 0.509
0.375 0.741 0.830
0.054 0.830 0.741
0.875 0.509 0.420
0.741 0.375 0.054
0.420 0.196 0.875
0.509 0.875 0.196
0.500 0.500 0.500
0.750 0.750 0.750
0.180 0.180 0.820
0.070 0.070 0.430
0.430 0.430 0.070
0.820 0.820 0.180
```

=====

8.
## Gd3OsO7 (PBE)

Data for an optimized crystal structure of Gd3OsO7.

Computed properties:
- symmetry = Cmcm (63)

Cell and atoms, written as POSCAR:
```
Gd3OsO7
1.0
-0.509 -5.945 2.642
4.421 3.565 3.214
-5.328 2.487 4.570
O Os Gd
14 2 6
Direct
0.157 0.892 0.250
0.182 0.436 0.963
0.436 0.182 0.963
0.818 0.564 0.463
0.436 0.182 0.537
0.424 0.424 0.250
0.892 0.157 0.250
0.843 0.108 0.750
0.182 0.436 0.537
0.818 0.564 0.037
0.108 0.843 0.750
0.564 0.818 0.463
0.564 0.818 0.037
0.576 0.576 0.750
0.500 0.500 0.000
0.500 0.500 0.500
0.067 0.523 0.250
0.477 0.933 0.750
0.933 0.477 0.750
0.523 0.067 0.250
0.000 0.000 0.000
0.000 0.000 0.500
```

=====

9.
## Sm2NiB10 (PBE)

Data for an optimized crystal structure of Sm2NiB10.

Computed properties:
- symmetry = Pbam (55)

Cell and atoms, written as POSCAR:
```
Sm2NiB10
1.0
-0.740 2.426 3.315
-4.320 -3.273 1.431
6.833 -6.327 6.156
B Sm Ni
20 4 2
Direct
0.000 0.625 0.959
0.300 0.297 0.614
0.000 0.375 0.041
0.000 0.463 0.688
0.700 0.297 0.614
0.700 0.797 0.886
0.000 0.654 0.803
0.000 0.875 0.459
0.700 0.203 0.114
0.000 0.846 0.303
0.000 0.537 0.312
0.000 0.346 0.197
0.000 0.125 0.541
0.000 0.154 0.697
0.300 0.203 0.114
0.300 0.703 0.386
0.000 0.037 0.188
0.700 0.703 0.386
0.300 0.797 0.886
0.000 0.963 0.812
0.500 0.807 0.636
0.500 0.307 0.864
0.500 0.693 0.136
0.500 0.193 0.364
0.000 0.500 0.500
0.000 0.000 0.000
```

=====

10.
## ZnSb2O4 (PBE)

Data for an optimized crystal structure of ZnSb2O4.

Computed properties:
- M_tot (Bohr magnetons per cell) = 0.000
- symmetry = R3m (160)
- ΔE to the lowest computed polymorph (eV/atom) = 0.307

Cell and atoms, written as POSCAR:
```
ZnSb2O4
1.0
5.543 -3.398 0.000
5.543 3.398 0.000
3.460 0.000 5.505
Zn Sb O
2 4 8
Direct
0.007 0.007 0.007
0.626 0.626 0.626
0.621 0.621 0.124
0.621 0.124 0.621
0.227 0.227 0.227
0.124 0.621 0.621
0.406 0.406 0.848
0.876 0.392 0.876
0.866 0.866 0.866
0.848 0.406 0.406
0.392 0.876 0.876
0.876 0.876 0.392
0.406 0.848 0.406
0.355 0.355 0.355
```

=====

11.
## EuIn4Au (PBE)

Data for an optimized crystal structure of EuIn4Au.

Computed properties:
- symmetry = Cmcm (63)

Cell and atoms, written as POSCAR:
```
EuIn4Au
1.0
4.475 7.526 1.830
-7.400 -4.003 -3.038
-2.877 0.010 6.995
Au Eu In
2 2 8
Direct
0.726 0.274 0.250
0.274 0.726 0.750
0.626 0.374 0.750
0.374 0.626 0.250
0.179 0.821 0.452
0.821 0.179 0.952
0.000 0.000 0.500
0.437 0.563 0.750
0.563 0.437 0.250
0.000 0.000 0.000
0.179 0.821 0.048
0.821 0.179 0.548
```

=====

12.
## Ca5TiSn4B10O30 (PBE)

Data for an optimized crystal structure of Ca5TiSn4B10O30.

Computed properties:
- M_tot (Bohr magnetons per cell) = 0.000
- symmetry = P-1 (2)

Cell and atoms, written as POSCAR:
```
Ca5TiSn4B10O30
1.0
-1.465 -4.143 2.161
-2.695 -1.765 -5.215
17.763 -5.660 -4.355
B O Ca Sn Ti
10 30 5 4 1
Direct
0.752 0.726 0.504
0.352 0.127 0.704
0.450 0.079 0.897
0.152 0.326 0.304
0.648 0.873 0.296
0.248 0.274 0.496
0.550 0.921 0.103
0.045 0.477 0.093
0.955 0.523 0.907
0.848 0.674 0.696
0.556 0.986 0.356
0.939 0.840 0.557
0.740 0.036 0.155
0.061 0.160 0.443
0.271 0.945 0.108
0.872 0.342 0.308
0.462 0.760 0.243
0.260 0.964 0.845
0.072 0.142 0.708
0.036 0.416 0.844
0.322 0.458 0.085
0.756 0.786 0.756
0.244 0.214 0.244
0.338 0.440 0.357
0.844 0.614 0.444
0.928 0.858 0.292
0.367 0.199 0.956
0.156 0.386 0.556
0.964 0.584 0.156
0.472 0.742 0.508
0.528 0.258 0.492
0.538 0.240 0.757
0.128 0.658 0.692
0.845 0.370 0.042
0.662 0.560 0.643
0.729 0.055 0.892
0.633 0.801 0.044
0.444 0.014 0.644
0.678 0.542 0.915
0.155 0.630 0.958
0.200 0.800 0.400
0.402 0.600 0.802
0.800 0.200 0.600
0.000 0.000 0.000
0.598 0.400 0.198
0.700 0.300 0.400
0.900 0.100 0.800
0.100 0.900 0.200
0.300 0.700 0.600
0.500 0.500 0.000
```

=====

| no. | energy of formation from the pure elements (eV per atom) |
| --- | --- |
| 1 | -2.40 |
| 2 | -2.12 |
| 3 | -0.66 |
| 4 | -0.62 |
| 5 | -2.49 |
| 6 | -0.66 |
| 7 | -1.25 |
| 8 | -3.14 |
| 9 | -0.53 |
| 10 | -1.44 |
| 11 | -0.37 |
| 12 | -2.91 |